# 1
Compound: Dy4Ga12Pd
Source: the Materials Project database
Functional: r2SCAN
Structure: relaxed

Structure (CIF):
```
data_Dy4Ga12Pd
_chemical_formula_sum 'Dy4 Ga12 Pd1'
_symmetry_space_group_name_H-M 'P 1'
_symmetry_Int_Tables_number 1
_symmetry_space_group_name_Hall 'P 1'
_cell_length_a 7.404
_cell_length_b 7.404
_cell_length_c 7.404
_cell_angle_alpha 109.47
_cell_angle_beta 109.47
_cell_angle_gamma 109.47
loop_
_atom_site_label
_atom_site_type_symbol
_atom_site_fract_x
_atom_site_fract_y
_atom_site_fract_z
Ga1 Ga 0.702 0.000 0.702
Ga2 Ga 0.750 0.250 0.500
Ga3 Ga 0.298 0.000 0.298
Ga4 Ga 0.750 0.500 0.250
Ga5 Ga 0.500 0.750 0.250
Ga6 Ga 0.702 0.702 0.000
Ga7 Ga 0.500 0.250 0.750
Dy1 Dy 0.500 0.000 0.000
Ga8 Ga 0.250 0.750 0.500
Pd1 Pd 0.000 0.000 0.000
Dy2 Dy 0.000 0.500 0.000
Ga9 Ga 0.298 0.298 0.000
Ga10 Ga 0.000 0.702 0.702
Ga11 Ga 0.250 0.500 0.750
Ga12 Ga 0.000 0.298 0.298
Dy3 Dy 0.000 0.000 0.500
Dy4 Dy 0.500 0.500 0.500
```

Properties
- magnetization (μB per atom) = 0.00
- ΔH_f (0 K) (eV per atom) = -0.65

# 2
Compound: Dy4Ga12Pt
Source: the Materials Project database
Functional: r2SCAN
Structure: relaxed

Structure (CIF):
```
data_Dy4Ga12Pt
_chemical_formula_sum 'Dy4 Ga12 Pt1'
_symmetry_space_group_name_H-M 'P 1'
_symmetry_Int_Tables_number 1
_symmetry_space_group_name_Hall 'P 1'
_cell_length_a 7.400
_cell_length_b 7.400
_cell_length_c 7.400
_cell_angle_alpha 109.47
_cell_angle_beta 109.47
_cell_angle_gamma 109.47
loop_
_atom_site_label
_atom_site_type_symbol
_atom_site_fract_x
_atom_site_fract_y
_atom_site_fract_z
Dy1 Dy 0.500 0.500 0.500
Ga1 Ga 0.000 0.298 0.298
Dy2 Dy 0.000 0.500 0.000
Ga2 Ga 0.702 0.000 0.702
Ga3 Ga 0.750 0.250 0.500
Ga4 Ga 0.702 0.702 0.000
Ga5 Ga 0.298 0.000 0.298
Ga6 Ga 0.250 0.500 0.750
Dy3 Dy 0.500 0.000 0.000
Ga7 Ga 0.750 0.500 0.250
Ga8 Ga 0.250 0.750 0.500
Pt1 Pt 0.000 0.000 0.000
Ga9 Ga 0.000 0.702 0.702
Ga10 Ga 0.500 0.250 0.750
Dy4 Dy 0.000 0.000 0.500
Ga11 Ga 0.500 0.750 0.250
Ga12 Ga 0.298 0.298 0.000
```

Properties
- magnetization (μB per atom) = 0.00
- ΔH_f (0 K) (eV per atom) = -0.68

# 3
Compound: Dy2Ga9Rh3
Source: the Materials Project database
Functional: r2SCAN
Structure: relaxed

Structure (CIF):
```
data_Dy2Ga9Rh3
_chemical_formula_sum 'Dy4 Ga18 Rh6'
_symmetry_space_group_name_H-M 'P 1'
_symmetry_Int_Tables_number 1
_symmetry_space_group_name_Hall 'P 1'
_cell_length_a 7.470
_cell_length_b 7.470
_cell_length_c 9.481
_cell_angle_alpha 90.00
_cell_angle_beta 90.00
_cell_angle_gamma 119.74
loop_
_atom_site_label
_atom_site_type_symbol
_atom_site_fract_x
_atom_site_fract_y
_atom_site_fract_z
Rh1 Rh 0.000 0.000 0.000
Ga1 Ga 0.335 0.335 0.934
Ga2 Ga 0.998 0.665 0.578
Rh2 Rh 0.329 0.671 0.500
Ga3 Ga 0.545 0.337 0.250
Dy1 Dy 0.002 0.331 0.750
Ga4 Ga 0.128 0.128 0.250
Rh3 Rh 0.000 0.000 0.500
Ga5 Ga 0.455 0.663 0.750
Ga6 Ga 0.002 0.335 0.422
Ga7 Ga 0.665 0.998 0.578
Dy2 Dy 0.331 0.002 0.750
Ga8 Ga 0.998 0.665 0.922
Ga9 Ga 0.665 0.665 0.066
Rh4 Rh 0.329 0.671 0.000
Ga10 Ga 0.663 0.455 0.750
Ga11 Ga 0.665 0.665 0.434
Rh5 Rh 0.671 0.329 0.500
Ga12 Ga 0.337 0.545 0.250
Ga13 Ga 0.335 0.002 0.078
Dy3 Dy 0.669 0.998 0.250
Ga14 Ga 0.335 0.002 0.422
Rh6 Rh 0.671 0.329 0.000
Dy4 Dy 0.998 0.669 0.250
Ga15 Ga 0.665 0.998 0.922
Ga16 Ga 0.872 0.872 0.750
Ga17 Ga 0.002 0.335 0.078
Ga18 Ga 0.335 0.335 0.566
```

Properties
- magnetization (μB per atom) = 0.00
- ΔH_f (0 K) (eV per atom) = -0.77